[1]
DFT (PBE) results for a geometry-optimized Na10Y4Mg4Si3S9O48 structure. Values from VASP.

Quantum ESPRESSO input file:
```
&SYSTEM
  ibrav = 0, nat = 234, ntyp = 6
/
ATOMIC_SPECIES
O 16.00 O.upf
Na 22.99 Na.upf
S 32.06 S.upf
Si 28.09 Si.upf
Y 88.91 Y.upf
Mg 24.30 Mg.upf
CELL_PARAMETERS angstrom
18.414 -0.026 0.017
-4.614 7.951 -0.002
0.022 0.007 23.170
ATOMIC_POSITIONS angstrom
O 10.103 1.754 16.222
O -2.939 7.798 21.199
O 6.495 2.532 12.323
O -1.823 5.457 10.771
O 2.672 7.698 15.963
O 13.081 0.911 14.870
O 3.516 6.293 4.372
O 16.736 0.276 18.588
O 5.362 6.320 2.045
O 13.027 1.026 21.297
O 2.851 2.577 17.308
O 6.490 7.804 4.587
O -1.104 6.847 22.476
O 1.011 3.688 8.420
O 2.718 2.864 3.357
O 5.762 6.404 16.189
O 0.799 1.740 16.244
O 3.826 4.364 12.372
O 14.445 4.249 17.307
O 17.337 1.518 7.069
O 16.576 -0.013 2.022
O 3.552 4.209 14.800
O 6.221 7.877 13.576
O -2.705 7.795 4.549
O 0.863 6.628 17.465
O 8.117 6.840 22.480
O 9.928 1.551 9.606
O 15.633 2.705 21.337
O 12.132 2.502 17.350
O 5.460 1.026 9.774
O -0.768 3.667 22.353
O 12.061 2.400 0.739
O -1.141 6.724 5.946
O 10.327 3.638 8.408
O 5.443 4.312 0.788
O 10.380 6.871 10.959
O 0.865 6.975 8.512
O 14.628 1.059 9.807
O 6.285 7.781 21.191
O 1.740 5.110 13.446
O 8.599 6.645 13.424
O 7.498 0.098 18.630
O 5.369 4.070 9.693
O 12.915 6.358 13.625
O 13.200 6.324 6.957
O 0.705 3.658 17.606
O -3.408 6.433 16.256
O -3.569 6.613 9.577
O 11.095 5.470 22.445
O 12.865 4.174 21.331
O 5.485 1.353 17.300
O 1.169 1.455 18.627
O 3.878 0.856 14.937
O -0.641 1.565 21.190
O -1.805 5.313 17.594
O -1.065 3.615 19.935
O 8.139 6.742 5.905
O 10.366 1.476 18.627
O 8.211 3.890 13.411
O 2.909 7.713 9.599
O 12.820 1.216 5.681
O 12.703 6.243 4.308
O 6.463 2.910 14.719
O 2.000 5.201 20.029
O 5.233 4.281 17.281
O 10.159 4.048 1.797
O 10.904 5.049 13.485
O 10.048 7.019 8.557
O 5.361 6.300 18.587
O 8.572 1.546 21.205
O 12.818 6.595 21.170
O 11.068 0.236 6.994
O 12.130 7.818 9.576
O -0.888 3.756 5.987
O 14.740 1.389 17.246
O 15.007 4.183 3.204
O 11.923 2.849 3.353
O 3.636 1.124 12.287
O -2.979 7.938 13.565
O 7.402 5.392 17.553
O -1.708 5.227 1.783
O 0.692 1.556 9.577
O 8.132 1.463 13.648
O 12.981 4.316 12.425
O 7.395 5.514 10.951
O 5.795 4.185 3.190
O 8.393 3.712 5.948
O 1.793 0.272 6.947
O 12.046 2.680 9.737
O -0.969 3.882 13.393
O 14.785 4.149 9.751
O 3.677 4.193 21.361
O 5.504 6.738 9.571
O -0.950 6.996 20.046
O 3.802 1.041 21.310
O -0.573 6.679 13.386
O 14.907 1.070 0.718
O 8.420 1.759 4.646
O 6.334 2.470 5.730
O 12.743 4.231 14.854
O 0.567 6.918 1.833
O 8.169 3.647 20.039
O 11.170 5.198 20.018
O 2.858 2.413 0.742
O 7.493 5.221 1.795
O 8.427 3.598 22.453
O 3.868 6.279 7.083
O 10.837 5.249 5.881
O 14.600 0.982 3.136
O 3.614 1.194 5.678
O 14.654 4.294 0.799
O 0.699 3.646 10.833
O 3.811 6.355 13.631
O 8.149 1.523 7.048
O 7.286 5.206 8.259
O 11.900 7.655 15.979
O 8.281 6.970 20.047
O 5.701 1.073 0.714
O 10.068 3.706 17.577
O 1.618 5.225 5.840
O 10.077 6.657 17.524
O 17.327 1.438 13.652
O 10.054 3.647 10.837
O 15.745 2.888 14.828
O 13.200 4.000 5.717
O 15.641 2.538 12.420
O 2.754 2.854 9.762
O 1.888 5.485 22.447
O 0.916 1.282 2.003
O 14.581 6.244 18.657
O -1.986 5.214 8.350
O 6.434 2.703 21.353
O 15.522 2.435 5.728
O 14.578 6.313 2.046
O 5.389 0.989 3.131
O 1.123 6.797 10.912
O 3.631 6.608 21.198
O 10.127 1.269 2.001
O 2.751 7.934 2.017
O 9.779 6.912 1.837
O 0.951 4.056 1.788
O -0.759 1.816 4.659
O 4.015 4.011 5.737
O 12.785 1.034 12.168
Na 1.858 2.921 5.576
Na -0.034 5.469 15.177
Na 6.410 5.593 13.184
Na 13.847 2.792 7.601
Na 2.896 5.393 2.181
Na 9.434 0.084 11.463
Na 6.133 5.043 6.113
Na 0.408 0.027 11.523
Na 12.138 5.187 17.215
Na 10.753 7.668 13.686
Na 3.490 5.374 9.420
Na 7.505 7.836 1.807
Na 0.237 5.177 3.734
Na 4.778 2.735 7.691
Na 9.282 0.289 23.077
Na 9.237 5.330 15.238
Na 11.038 2.939 5.585
Na 12.089 0.063 9.904
Na 12.743 0.073 17.099
Na 9.458 5.169 3.803
Na 3.526 0.084 17.061
Na 16.698 2.709 17.452
Na 1.526 7.721 13.694
Na 4.958 2.510 19.166
Na 15.282 5.086 5.921
Na 0.073 0.296 23.086
Na -1.703 7.855 1.802
Na 13.932 2.466 19.251
Na 12.092 5.383 2.207
Na 2.956 5.249 17.221
S 15.243 4.963 1.977
S 15.106 0.270 1.949
S -1.303 2.895 21.221
S 7.910 2.873 21.282
S 1.252 2.912 9.683
S 10.548 2.893 9.671
S 1.392 2.329 17.468
S 11.982 5.378 21.267
S -1.472 7.649 21.289
S 7.802 2.330 5.876
S 6.035 4.972 1.970
S 1.427 7.620 9.729
S -2.747 5.378 9.628
S 7.754 7.630 21.285
S 3.212 4.969 13.586
S 16.987 2.323 5.899
S 10.654 2.335 17.468
S 16.553 2.711 13.581
S 2.699 0.044 5.809
S 5.921 5.583 17.432
S 7.325 2.707 13.542
S 5.897 0.274 1.945
S 10.679 7.665 9.736
S 2.798 5.394 21.283
S 11.945 0.033 5.811
S 15.139 5.563 17.485
S 12.383 4.970 13.608
Si 6.485 0.061 17.380
Si 12.471 0.172 13.538
Si 1.815 2.674 1.994
Si 3.269 0.172 13.560
Si 6.413 5.348 9.643
Si 11.021 2.664 1.994
Si 15.696 0.041 17.366
Si 12.469 5.495 5.764
Si 3.267 5.492 5.784
Y 9.207 5.297 18.960
Y 4.554 2.585 11.155
Y 0.067 5.379 18.995
Y 4.561 2.641 22.744
Y 13.766 2.636 11.236
Y 9.122 0.024 3.500
Y 18.313 0.017 3.527
Y 0.074 0.006 14.995
Y 0.073 5.356 7.304
Y 9.228 0.059 15.069
Y 9.246 5.326 7.393
Y 13.761 2.635 22.750
Mg -0.150 5.350 11.983
Mg 13.710 2.715 4.234
Mg 4.753 2.430 15.781
Mg 0.030 5.114 0.393
Mg 9.123 5.351 11.908
Mg 13.880 2.477 15.747
Mg 4.578 7.826 8.108
Mg 4.523 2.739 4.236
Mg 13.734 7.790 8.121
Mg 9.080 0.053 19.731
Mg 18.296 0.028 19.752
Mg 9.233 5.101 0.412
```

* corrected total energy (MP2020 scheme): -6.881 eV/atom
* ΔH_f (0 K): -2.567 eV/atom
* energy: -6.458 eV/atom
* symmetry: No. 1


[2]
DFT (PBE) results for a geometry-optimized Na10Mg4Zn4SiS11O48 structure. Values from VASP.

Quantum ESPRESSO input file:
```
&SYSTEM
  ibrav = 0, nat = 234, ntyp = 6
/
ATOMIC_SPECIES
O 16.00 O.upf
S 32.06 S.upf
Na 22.99 Na.upf
Mg 24.30 Mg.upf
Zn 65.41 Zn.upf
Si 28.09 Si.upf
CELL_PARAMETERS angstrom
-16.533 6.426 1.896
3.514 -5.221 6.313
8.023 17.796 10.314
ATOMIC_POSITIONS angstrom
O -7.444 9.153 4.433
O -6.731 8.336 7.882
O 0.518 7.223 6.933
O 8.221 13.822 15.821
O -9.303 15.713 10.679
O 2.737 8.587 10.620
O 0.955 10.117 6.692
O -9.882 13.775 9.309
O 6.030 3.227 9.563
O 3.802 17.239 10.878
O -2.431 0.415 2.688
O -6.759 20.520 13.409
O -0.367 18.594 11.679
O 8.122 8.255 12.377
O -1.511 3.898 8.883
O -5.539 11.755 11.556
O 0.610 8.856 9.434
O -0.307 1.322 2.158
O -3.519 10.166 12.657
O -0.722 16.437 12.801
O -10.697 3.596 3.722
O -8.131 8.115 12.215
O -14.360 7.198 2.702
O -7.686 11.937 10.398
O 2.510 2.496 5.875
O -0.121 16.986 16.672
O -0.514 -1.468 6.725
O -8.821 3.155 5.223
O 8.276 15.207 13.107
O -5.913 8.832 11.744
O -9.647 8.333 4.860
O -1.157 14.947 15.796
O 0.117 4.795 11.241
O 3.182 10.957 6.267
O 1.078 14.885 16.809
O -4.780 2.117 9.369
O -6.065 5.676 4.235
O -0.530 -0.026 4.191
O -10.169 10.779 9.351
O 1.093 13.382 14.238
O -5.537 10.159 8.992
O 3.368 -0.972 8.383
O -3.338 8.399 10.185
O -7.297 16.340 12.821
O 2.497 6.956 5.604
O -8.383 20.069 10.322
O 1.694 -1.574 5.084
O 0.077 2.702 7.428
O -11.072 15.812 8.992
O -4.070 6.494 8.812
O -1.610 10.568 8.340
O -5.765 10.175 6.577
O 7.549 13.222 11.861
O -4.642 17.841 16.413
O -6.701 6.690 10.825
O -4.963 7.588 5.280
O -13.208 3.795 5.444
O -8.845 1.827 7.683
O -1.964 7.542 8.343
O 7.217 10.425 12.139
O 4.602 13.644 13.418
O 3.582 14.607 15.433
O -6.030 4.094 1.764
O -12.947 3.630 7.818
O -7.163 16.593 15.179
O -3.572 15.095 9.621
O -2.119 1.788 7.814
O -12.167 8.690 6.244
O -12.139 7.170 3.774
O -5.071 14.208 7.216
O -4.599 0.491 6.940
O -1.049 12.500 9.728
O -9.780 12.092 6.870
O 0.967 13.148 11.878
O 4.749 6.943 11.703
O -3.803 3.732 2.779
O -9.677 5.345 5.097
O -6.487 1.726 6.047
O -10.347 4.823 8.833
O 1.632 10.721 10.657
O -1.516 2.178 4.112
O -2.824 12.596 8.039
O -0.109 16.843 9.381
O -2.214 6.286 10.403
O 9.357 11.686 15.872
O 2.043 2.354 3.541
O -3.114 11.363 10.124
O -9.795 7.291 9.867
O 2.369 1.175 8.229
O -10.105 7.117 7.306
O -5.750 4.282 9.111
O 0.652 6.081 3.536
O -3.031 17.278 10.611
O 7.133 11.845 14.838
O -4.999 1.912 1.689
O 1.665 12.247 7.714
O -7.265 17.741 10.370
O 4.699 11.885 8.668
O -7.296 13.420 7.761
O -5.081 16.245 11.186
O 3.193 13.042 10.228
O -2.516 18.686 15.754
O -4.931 0.558 4.554
O 1.672 5.101 6.986
O -1.498 5.092 3.949
O -4.480 19.106 14.332
O -7.988 5.809 8.366
O 2.318 5.735 10.929
O -1.447 8.851 5.826
O 1.499 17.298 12.472
O 5.148 8.173 9.187
O -12.649 5.803 6.720
O 2.475 9.748 13.912
O -7.590 11.976 12.795
O -6.537 15.576 8.640
O -7.742 10.462 7.988
O 5.246 14.068 9.659
O -3.457 13.967 14.418
O -6.687 13.885 11.528
O 1.764 3.651 9.787
O -1.059 13.633 13.084
O 5.217 11.976 10.982
O -13.104 5.153 2.720
O -5.848 5.727 6.601
O 5.744 15.340 14.755
O -3.557 16.893 14.428
O 4.212 3.330 7.918
O 1.009 14.511 9.415
O -0.140 11.470 13.316
O 7.900 15.375 10.734
O 0.676 8.794 11.842
O -4.475 20.442 11.814
O -3.852 5.432 5.294
O -0.004 18.422 14.051
O -3.057 15.190 11.936
O -1.883 3.862 6.540
O 4.884 5.288 9.203
O -4.279 2.602 5.741
O 2.718 7.071 8.000
O -13.298 10.759 6.311
O -8.487 4.415 3.158
O -5.797 12.965 14.862
O 4.824 10.743 13.479
O 3.784 15.890 13.369
S 1.536 4.466 11.013
S -6.890 12.405 11.548
S -3.790 18.145 15.220
S -9.427 4.118 4.254
S 4.603 12.747 9.863
S -6.465 14.609 7.489
S -4.741 3.381 1.682
S -10.418 14.950 10.023
S 1.776 11.341 6.519
S -6.736 7.624 11.996
S 0.088 17.698 12.782
S -0.536 5.444 2.888
S 8.497 9.677 12.198
S -3.668 15.957 10.815
S 4.436 14.890 14.239
S 5.354 4.072 8.519
S -1.203 0.963 3.316
S -2.899 7.199 9.451
S -5.068 1.333 5.803
S -0.247 15.529 16.843
S 3.010 2.879 4.529
S 8.361 14.479 11.838
S -5.174 6.127 5.317
S -13.419 4.518 6.705
S -5.121 3.351 10.097
S -1.347 3.043 7.684
S -6.400 9.807 7.855
S 0.228 12.893 13.146
S -12.982 6.621 2.663
S -2.156 11.733 9.063
S 8.038 12.352 15.924
S 1.388 9.246 10.611
S 1.868 6.559 6.913
Na 2.381 15.216 11.388
Na -6.662 21.447 11.152
Na 0.609 0.753 6.176
Na -10.614 3.355 6.990
Na -4.913 -1.915 7.245
Na 1.615 18.295 10.250
Na 3.960 8.858 5.344
Na 7.922 17.713 10.473
Na -7.258 3.739 7.139
Na 2.975 14.533 8.086
Na -9.933 9.584 7.075
Na -4.014 4.390 7.511
Na -1.774 12.532 15.343
Na -5.878 18.417 12.315
Na -0.855 14.792 10.933
Na -3.281 12.659 12.285
Na -1.663 6.319 6.215
Na 0.674 8.305 4.779
Na -8.065 4.433 10.321
Na 4.963 9.454 11.349
Na -5.266 15.101 13.328
Na -8.437 9.216 10.068
Na -9.124 18.000 11.883
Na -7.982 6.910 6.213
Na -12.153 7.545 8.579
Na 2.595 7.591 12.846
Na 1.556 -2.600 7.309
Na -5.632 10.855 13.815
Na -0.922 6.968 12.405
Na 2.993 11.889 12.388
Mg -4.481 9.964 10.734
Mg -0.313 -2.074 4.653
Mg -8.705 12.252 8.640
Mg -1.869 4.257 10.877
Mg -2.857 3.642 4.611
Mg -0.506 8.949 7.771
Mg 3.542 17.903 12.960
Mg 2.044 3.280 7.805
Mg -3.513 0.591 8.737
Mg -4.682 21.100 13.835
Mg -8.431 1.081 5.640
Mg 3.685 6.838 9.781
Zn -1.414 18.243 9.720
Zn -6.162 6.534 8.786
Zn 1.038 12.519 9.692
Zn -7.732 12.824 14.897
Zn -11.143 6.751 5.621
Zn 0.542 9.605 13.950
Zn -15.200 9.155 3.582
Zn 6.106 12.223 13.056
Zn -9.688 21.464 10.659
Zn -7.218 15.743 10.623
Zn -2.135 15.424 14.004
Zn -10.246 7.311 11.745
Si -4.482 13.580 15.653
Si 0.274 15.579 8.396
Si -9.559 6.261 8.601
```

* corrected total energy (MP2020 scheme): -6.222 eV/atom
* ΔH_f (0 K): -2.208 eV/atom
* energy: -5.799 eV/atom
* symmetry: No. 1